Below is crystalline Tl2Mo15Se19 at its relaxed geometry, with properties calculated at the PBE level.

## Properties
Energy with MP2020 corrections (eV per atom): -7.2579
E_form (eV/atom): -0.763
Spin magnetization (μB per formula unit): 0.1

Cell: 9.8806 9.8806 58.4587 Å, 90.00 90.00 120.00°
Space group R-3c (No. 167, hexagonal axes)
Asymmetric unit:
Tl 0.0000 0.0000 0.1149 [12 per cell]
Mo 0.0000 0.1577 0.2500 [18 per cell]
Mo 0.0116 0.1608 0.7108 [36 per cell]
Mo 0.0218 0.1666 0.9804 [36 per cell]
Se 0.0000 0.0000 0.0544 [12 per cell]
Se 0.0000 0.0000 0.1760 [12 per cell]
Se 0.0000 0.3044 0.7500 [18 per cell]
Se 0.0107 0.3820 0.6833 [36 per cell]
Se 0.0153 0.3736 0.9524 [36 per cell]

---

Below is crystalline K3TlCl6 at its relaxed geometry, with properties calculated at the PBE level.

## Properties
Energy with MP2020 corrections (eV per atom): -3.4481
E_form (eV/atom): -1.770
Spin magnetization (μB per formula unit): 0.0

Cell: 11.1479 11.1479 11.1479 Å, 90.00 90.00 90.00°
Space group Fm-3m (No. 225)
Asymmetric unit:
K 0.0000 0.0000 0.0000 [4 per cell]
K 0.2500 0.2500 0.2500 [8 per cell]
Tl 0.0000 0.0000 0.5000 [4 per cell]
Cl 0.0000 0.0000 0.2659 [24 per cell]

---

Below is crystalline Mn2Al3 at its relaxed geometry, with properties calculated at the PBE level.

## Properties
E_form (eV/atom): -0.246

Cell: 6.3951 6.3951 6.3951 Å, 90.00 90.00 90.00°
Space group P4_132 (No. 213)
Asymmetric unit:
Mn 0.0709 0.0709 0.0709 [8 per cell]
Al 0.0464 0.8750 0.7036 [12 per cell]

---

Below is crystalline Bi2AuO5 at its relaxed geometry, with properties calculated at the PBE level.

## Properties
Energy with MP2020 corrections (eV per atom): -5.7226
E_form (eV/atom): -1.248

Cell: 8.7578 8.7578 5.8781 Å, 90.00 90.00 90.00°
Space group P4/ncc (No. 130, origin choice 2)
Asymmetric unit:
Bi 0.1024 0.6024 0.2500 [8 per cell]
Au 0.2500 0.2500 0.0936 [4 per cell]
O 0.0350 0.1699 0.6075 [16 per cell]
O 0.2500 0.7500 0.0000 [4 per cell]

---

Below is crystalline Rb2NaHoF6 at its relaxed geometry, with properties calculated at the PBE level.

## Properties
Energy with MP2020 corrections (eV per atom): -5.5317
E_form (eV/atom): -3.596
Spin magnetization (μB per formula unit): 0.0

Cell: 8.9791 8.9791 8.9791 Å, 90.00 90.00 90.00°
Space group Fm-3m (No. 225)
Asymmetric unit:
Rb 0.2500 0.2500 0.2500 [8 per cell]
Na 0.0000 0.0000 0.0000 [4 per cell]
Ho 0.0000 0.0000 0.5000 [4 per cell]
F 0.0000 0.0000 0.2583 [24 per cell]

---

Below is crystalline LiSc2Ag2O4 at its relaxed geometry, with properties calculated at the PBE level.

## Properties
Energy with MP2020 corrections (eV per atom): -6.8939
E_form (eV/atom): -2.446
Spin magnetization (μB per formula unit): 0.0
Distance to the lowest polymorph of the same formula (eV/atom): 0.035

Cell: 3.1614 3.1614 14.4748 Å, 90.00 90.00 120.00°
Space group P3m1 (No. 156)
Asymmetric unit:
Li 0.0000 0.0000 0.0000 [1 per cell]
Sc 0.0000 0.0000 0.1780 [1 per cell]
Sc 0.0000 0.0000 0.6159 [1 per cell]
Ag 0.3333 0.6667 0.8425 [1 per cell]
Ag 0.6667 0.3333 0.3956 [1 per cell]
O 0.3333 0.6667 0.0933 [1 per cell]
O 0.3333 0.6667 0.6860 [1 per cell]
O 0.6667 0.3333 0.2468 [1 per cell]
O 0.6667 0.3333 0.5392 [1 per cell]

---

| no. | E (eV/atom) |
| --- | --- |
| 1 | -7.009 |
| 2 | -3.080 |
| 3 | -6.158 |
| 4 | -5.293 |
| 5 | -5.255 |
| 6 | -6.589 |